MgBr2O4 | PBE | relaxed

Cell and atoms, written as POSCAR:
```
MgBr2O4
1.0
-1.290 3.462 -1.461
-7.953 -0.174 1.207
1.107 1.752 3.174
Mg Br O
1 2 4
Direct
0.500 0.000 0.500
0.664 0.671 0.875
0.336 0.329 0.125
0.000 0.000 0.500
0.000 0.000 0.000
0.363 0.275 0.606
0.637 0.725 0.394
```

Properties
Corrected total energy (MP2020 scheme) in eV for the cell shown: -28.60
Energy of formation in kJ/mol of formula units: -379.2

MgBr2O2 | PBE | relaxed

Cell and atoms, written as POSCAR:
```
MgBr2O2
1.0
-3.602 -4.532 -1.034
3.621 -2.825 3.673
-2.162 0.646 3.083
Mg Br O
1 2 2
Direct
0.000 0.000 0.000
0.238 0.238 0.444
0.762 0.762 0.556
0.772 0.228 0.000
0.228 0.772 0.000
```

Properties
Corrected total energy (MP2020 scheme) in eV for the cell shown: -16.02
Energy of formation in kJ/mol of formula units: -120.5

MgP4Br12O4 | PBE | relaxed

Cell and atoms, written as POSCAR:
```
MgP4Br12O4
1.0
-6.410 2.105 2.227
-2.767 -4.600 -8.736
-1.271 -9.768 5.368
Mg P Br O
1 4 12 4
Direct
0.500 0.996 0.760
0.376 0.313 0.257
0.626 0.685 0.765
0.926 0.212 0.754
0.095 0.809 0.242
0.769 0.658 0.598
0.929 0.969 0.204
0.231 0.860 0.415
0.657 0.155 0.917
0.200 0.357 0.408
0.799 0.625 0.909
0.360 0.547 0.763
0.687 0.131 0.591
0.160 0.948 0.728
0.200 0.345 0.099
0.328 0.836 0.111
0.616 0.476 0.251
0.595 0.825 0.780
0.973 0.358 0.740
0.432 0.181 0.263
0.979 0.676 0.240
```

Properties
Corrected total energy (MP2020 scheme) in eV for the cell shown: -84.23
Energy of formation in kJ/mol of formula units: -2078.2

MgP4Br12O4 | PBE | relaxed

Cell and atoms, written as POSCAR:
```
MgP4Br12O4
1.0
7.538 0.495 0.617
0.730 11.096 0.148
1.060 0.115 9.792
Mg P Br O
1 4 12 4
Direct
0.862 0.416 0.967
0.438 0.261 0.278
0.620 0.685 0.730
0.808 0.188 0.772
0.105 0.814 0.241
0.768 0.626 0.526
0.890 0.969 0.272
0.269 0.834 0.400
0.648 0.084 0.929
0.266 0.374 0.461
0.841 0.654 0.864
0.436 0.552 0.813
0.694 0.189 0.585
0.078 0.086 0.728
0.180 0.373 0.979
0.283 0.854 0.044
0.622 0.452 0.177
0.540 0.813 0.738
0.811 0.314 0.823
0.574 0.174 0.336
0.038 0.695 0.243
```

Properties
Corrected total energy (MP2020 scheme) in eV for the cell shown: -83.88
Energy of formation in kJ/mol of formula units: -2044.4

Which value of energy of formation does entry 3 give?
-2078.2 kJ/mol of formula units

Among the records above, which one has the highest energy of formation?
MgBr2O2